DFT (PBE) results for CsAuO after structural relaxation.

Unit cell a=8.007 b=8.007 c=8.007 alpha=98.95 beta=98.95 gamma=133.53
Positions (direct):
Cs  0.000  0.301  0.301
Cs  0.000  0.699  0.699
Cs  0.301  0.000  0.301
Cs  0.699  0.000  0.699
Au  0.355  0.355  0.711
Au  0.355  0.645  0.000
Au  0.645  0.355  0.000
Au  0.645  0.645  0.289
O  0.220  0.500  0.720
O  0.500  0.220  0.720
O  0.500  0.780  0.280
O  0.780  0.500  0.280

Summary:
Energy of formation   -1.066 eV/atom
Crystal system   tetragonal
Space group   I4/mmm, No. 139
Theoretical density   6.72 Mg/m³